1.
VASP calculation (PBE) on a relaxed NdEuB12 crystal.

Geometry as POSCAR:
```
NdEuB12
1.0
0.000 4.148 4.148
4.148 0.000 4.148
4.148 4.148 0.000
Nd Eu B
1 1 12
Direct
0.500 0.500 0.500 Nd
0.000 0.000 0.000 Eu
0.400 0.100 0.100 B
0.900 0.600 0.600 B
0.400 0.400 0.100 B
0.900 0.900 0.600 B
0.100 0.400 0.100 B
0.600 0.900 0.600 B
0.100 0.100 0.400 B
0.600 0.600 0.900 B
0.400 0.100 0.400 B
0.900 0.600 0.900 B
0.100 0.400 0.400 B
0.600 0.900 0.900 B
```

Computed properties:
- DFT formation energy (eV/atom) = -0.49

2.
VASP calculation (PBE) on a relaxed Eu3Ni7B2 crystal.

Geometry as POSCAR:
```
Eu3Ni7B2
1.0
-2.610 -4.527 0.000
-2.618 4.531 0.000
0.000 0.000 -7.249
Eu Ni B
3 7 2
Direct
0.000 0.000 0.000 Eu
0.000 0.000 0.500 Eu
0.333 0.667 0.000 Eu
0.505 0.010 0.315 Ni
0.505 0.495 0.315 Ni
0.990 0.495 0.315 Ni
0.505 0.010 0.685 Ni
0.505 0.495 0.685 Ni
0.990 0.495 0.685 Ni
0.667 0.333 0.000 Ni
0.333 0.667 0.500 B
0.667 0.333 0.500 B
```

Computed properties:
- DFT formation energy (eV/atom) = -0.23